[1]
A plane-wave DFT calculation with PBE-GGA was carried out for an optimized crystal structure of CrSBr.

Unit cell a=3.553 b=4.745 c=8.760 alpha=90.00 beta=90.00 gamma=90.00
Space group Pmmn (No. 59, origin choice 2)
One atom of each set of equivalent atoms:
Cr (0.250, 0.250, 0.118)
S (0.250, 0.750, 0.065)
Br (0.250, 0.750, 0.677)

Output
energy = -5.91 eV/atom

[2]
A plane-wave DFT calculation with PBE-GGA was carried out for an optimized crystal structure of CsBr.

Unit cell a=7.402 b=7.402 c=7.402 alpha=90.00 beta=90.00 gamma=90.00
Space group Fm-3m (No. 225)
One atom of each set of equivalent atoms:
Cs (0.000, 0.000, 0.000)
Br (0.000, 0.000, 0.500)

Output
energy = -3.05 eV/atom

- Among the records above, which one has the highest energy?
  CsBr